The following is a DFT calculation (PBE-GGA) of GeTe after structural relaxation.

The structure in POSCAR format:
```
GeTe
1.0
-3.065 0.079 2.706
-2.907 -10.332 -2.991
8.077 -4.963 9.292
Ge Te
8 8
Direct
0.518 0.110 0.725
0.482 0.890 0.275
0.018 0.890 0.725
0.018 0.390 0.775
0.982 0.110 0.275
0.482 0.390 0.225
0.518 0.610 0.775
0.982 0.610 0.225
0.482 0.655 0.362
0.018 0.655 0.638
0.518 0.845 0.862
0.982 0.845 0.138
0.518 0.345 0.638
0.982 0.345 0.362
0.018 0.155 0.862
0.482 0.155 0.138
```

## Properties
Its space-group type is Pbcn (60). Its magnetic moment is 0.0 μB/f.u. The formation energy from the elements comes out at -0.1887 eV per atom. The calculation puts the total DFT energy (no corrections) at -61.8 eV/cell.